Model 1:
{
  "formula": "MnSe2O5",
  "functional": "r²SCAN",
  "state": "relaxed",
  "magmom_total_mub_per_cell": 20.00,
  "lattice": [[-3.5969, 3.4974, 2.8772], [-4.4489, -4.4062, 3.9256], [7.0243, 0.3510, 8.3546]],
  "species": ["Mn", "O", "Mn", "O", "O", "O", "O", "Se", "O", "O", "Se", "Mn", "Mn", "O", "O", "O", "Se", "O", "Se", "O", "O", "O", "O", "O", "Se", "O", "Se", "Se", "O", "Se", "O", "O"],
  "frac_coords": [[0.2500, 0.0000, 0.0825], [0.5169, 0.1537, 0.0652], [0.2500, 0.5000, 0.4175], [0.2500, 0.5000, 0.0787], [0.5356, 0.1884, 0.7857], [0.9831, 0.8463, 0.0652], [0.7500, 0.0000, 0.5787], [0.5319, 0.8505, 0.3590], [0.9644, 0.8116, 0.7857], [0.0169, 0.6537, 0.5652], [0.4681, 0.6495, 0.8590], [0.7500, 0.0000, 0.9175], [0.7500, 0.5000, 0.5825], [0.0356, 0.6884, 0.2857], [0.0356, 0.1884, 0.2143], [0.9644, 0.3116, 0.7143], [0.0319, 0.3505, 0.8590], [0.4831, 0.8463, 0.9348], [0.4681, 0.1495, 0.6410], [0.7500, 0.5000, 0.9213], [0.2500, 0.0000, 0.4213], [0.4831, 0.3463, 0.5652], [0.4644, 0.3116, 0.2857], [0.0169, 0.1537, 0.9348], [0.0319, 0.8505, 0.6410], [0.9831, 0.3463, 0.4348], [0.9681, 0.6495, 0.1410], [0.9681, 0.1495, 0.3590], [0.5169, 0.6537, 0.4348], [0.5319, 0.3505, 0.1410], [0.4644, 0.8116, 0.2143], [0.5356, 0.6884, 0.7143]]
}

=====

Model 2:
{
  "formula": "MnSe2O5",
  "functional": "r²SCAN",
  "state": "relaxed",
  "magmom_total_mub_per_cell": 20.00,
  "lattice": [[6.2357, 0.0000, 0.0000], [0.0000, 6.8650, 0.0000], [0.0000, 0.0000, 10.6091]],
  "species": ["Mn", "O", "O", "O", "O", "O", "O", "Mn", "O", "O", "O", "O", "O", "Mn", "O", "O", "Se", "O", "Se", "Se", "O", "Se", "O", "Se", "Se", "O", "Mn", "O", "O", "O", "Se", "Se"],
  "frac_coords": [[0.2500, 0.0000, 0.0586], [0.0453, 0.3364, 0.4328], [0.6599, 0.3055, 0.2880], [0.7500, 0.5000, 0.0704], [0.1599, 0.1945, 0.2120], [0.7500, 0.0000, 0.5704], [0.8401, 0.6945, 0.2880], [0.2500, 0.5000, 0.5586], [0.2500, 0.5000, 0.9296], [0.3401, 0.6945, 0.7120], [0.0453, 0.1636, 0.9328], [0.8401, 0.8055, 0.7880], [0.9547, 0.8364, 0.0672], [0.7500, 0.0000, 0.9414], [0.2500, 0.0000, 0.4296], [0.5453, 0.1636, 0.0672], [0.5344, 0.1291, 0.6550], [0.9547, 0.6636, 0.5672], [0.9656, 0.6291, 0.1550], [0.4656, 0.8709, 0.3450], [0.3401, 0.8055, 0.2120], [0.9656, 0.8709, 0.6550], [0.5453, 0.3364, 0.5672], [0.0344, 0.3709, 0.8450], [0.0344, 0.1291, 0.3450], [0.1599, 0.3055, 0.7120], [0.7500, 0.5000, 0.4414], [0.4547, 0.6636, 0.4328], [0.4547, 0.8364, 0.9328], [0.6599, 0.1945, 0.7880], [0.4656, 0.6291, 0.8450], [0.5344, 0.3709, 0.1550]]
}

=====

Which one sits at the top of the stability order? model 2 does.